[1]
Compound: CdP2O10
Source: the Materials Project database
Functional: PBE-GGA
Structure: optimized geometry

abc: 12.386 12.386 5.389
angles: 90.00 90.00 120.00
Fractional coordinates of all 39 atoms:
O 0.688 0.228 0.553
O 0.642 0.484 0.218
O 0.234 0.931 0.132
O 0.043 0.246 0.331
O 0.516 0.158 0.218
P 0.358 0.544 0.510
O 0.484 0.842 0.782
P 0.186 0.642 0.510
O 0.798 0.043 0.669
O 0.246 0.202 0.669
O 0.358 0.516 0.782
O 0.772 0.460 0.553
P 0.456 0.814 0.510
O 0.312 0.772 0.447
O 0.912 0.375 0.675
Cd 0.000 0.500 0.000
O 0.375 0.463 0.325
O 0.625 0.537 0.675
Cd 0.500 0.000 0.000
P 0.814 0.358 0.490
O 0.697 0.766 0.132
O 0.540 0.312 0.553
O 0.158 0.642 0.782
O 0.460 0.688 0.447
O 0.766 0.069 0.868
O 0.069 0.303 0.132
O 0.088 0.625 0.325
O 0.957 0.754 0.669
O 0.202 0.957 0.331
P 0.642 0.456 0.490
O 0.842 0.358 0.218
O 0.537 0.912 0.325
P 0.544 0.186 0.490
O 0.754 0.798 0.331
O 0.303 0.234 0.868
O 0.228 0.540 0.447
O 0.463 0.088 0.675
O 0.931 0.697 0.868
Cd 0.500 0.500 0.000

Calculated values
Energy of formation from the pure elements ... -1.458 eV/atom

[2]
Compound: Li2MgBi
Source: the Materials Project database
Functional: PBE-GGA
Structure: optimized geometry

abc: 5.035 5.035 5.035
angles: 60.00 60.00 60.00
Fractional coordinates of all 4 atoms:
Li 0.250 0.250 0.250
Mg 0.750 0.750 0.750
Li 0.500 0.500 0.500
Bi 0.000 0.000 0.000

Calculated values
Energy of formation from the pure elements ... -0.277 eV/atom

[3]
Compound: KGdP4O12
Source: the Materials Project database
Functional: PBE-GGA
Structure: optimized geometry

abc: 7.450 7.450 10.637
angles: 79.07 79.07 115.37
Fractional coordinates of all 36 atoms:
O 0.754 0.814 0.172
K 0.184 0.816 0.250
P 0.696 0.744 0.057
O 0.839 0.863 0.915
O 0.511 0.909 0.386
P 0.256 0.304 0.443
O 0.700 0.191 0.101
O 0.501 0.643 0.588
Gd 0.880 0.120 0.250
O 0.863 0.839 0.415
O 0.246 0.186 0.828
O 0.470 0.724 0.066
P 0.744 0.696 0.557
O 0.276 0.530 0.434
O 0.091 0.489 0.114
O 0.300 0.809 0.899
O 0.909 0.511 0.886
O 0.530 0.276 0.934
P 0.713 0.374 0.002
O 0.643 0.501 0.088
P 0.304 0.256 0.943
O 0.489 0.091 0.614
O 0.357 0.499 0.912
P 0.374 0.713 0.502
O 0.724 0.470 0.566
O 0.161 0.137 0.085
O 0.499 0.357 0.412
P 0.626 0.287 0.498
K 0.816 0.184 0.750
O 0.809 0.300 0.399
O 0.814 0.754 0.672
O 0.191 0.700 0.601
Gd 0.120 0.880 0.750
P 0.287 0.626 0.998
O 0.186 0.246 0.328
O 0.137 0.161 0.585

Calculated values
Energy of formation from the pure elements ... -2.909 eV/atom

[4]
Compound: Ba3Nb2Se9
Source: the Materials Project database
Functional: PBE-GGA
Structure: optimized geometry

abc: 7.458 12.579 17.854
angles: 90.00 97.40 90.00
Fractional coordinates of all 56 atoms:
Se 0.003 0.842 0.416
Ba 0.738 0.411 0.585
Se 0.488 0.810 0.382
Ba 0.738 0.089 0.085
Se 0.505 0.026 0.249
Se 0.301 0.085 0.428
Se 0.997 0.342 0.084
Se 0.997 0.158 0.584
Ba 0.255 0.244 0.754
Se 0.011 0.483 0.740
Se 0.495 0.526 0.251
Nb 0.714 0.444 0.351
Se 0.498 0.348 0.420
Se 0.245 0.773 0.241
Nb 0.220 0.933 0.347
Ba 0.743 0.069 0.420
Se 0.755 0.273 0.259
Ba 0.262 0.911 0.915
Se 0.301 0.415 0.928
Se 0.184 0.417 0.560
Se 0.036 0.795 0.119
Se 0.011 0.017 0.240
Ba 0.262 0.589 0.415
Se 0.964 0.295 0.381
Se 0.964 0.205 0.881
Se 0.755 0.227 0.759
Se 0.699 0.585 0.072
Se 0.184 0.083 0.060
Se 0.505 0.474 0.749
Nb 0.780 0.433 0.153
Ba 0.257 0.931 0.580
Se 0.036 0.705 0.619
Ba 0.743 0.431 0.920
Nb 0.780 0.067 0.653
Se 0.699 0.915 0.572
Se 0.502 0.848 0.080
Nb 0.286 0.556 0.649
Nb 0.286 0.944 0.149
Se 0.816 0.583 0.440
Nb 0.714 0.056 0.851
Se 0.245 0.727 0.741
Nb 0.220 0.567 0.847
Ba 0.257 0.569 0.080
Se 0.003 0.658 0.916
Se 0.816 0.917 0.940
Se 0.488 0.690 0.882
Se 0.498 0.152 0.920
Ba 0.745 0.744 0.746
Se 0.502 0.652 0.580
Se 0.512 0.310 0.118
Ba 0.255 0.256 0.254
Se 0.989 0.983 0.760
Se 0.989 0.517 0.260
Se 0.512 0.190 0.618
Ba 0.745 0.756 0.246
Se 0.495 0.974 0.751

Calculated values
Energy of formation from the pure elements ... -1.555 eV/atom

[5]
Compound: MgAl
Source: the Materials Project database
Functional: PBE-GGA
Structure: optimized geometry

abc: 3.380 3.380 3.380
angles: 90.00 90.00 90.00
Fractional coordinates of all 2 atoms:
Al 0.000 0.000 0.000
Mg 0.500 0.500 0.500

Calculated values
Energy of formation from the pure elements ... 0.065 eV/atom

[6]
Compound: Tb7PtI12
Source: the Materials Project database
Functional: PBE-GGA
Structure: optimized geometry

abc: 9.777 9.777 9.777
angles: 107.42 107.42 107.42
Fractional coordinates of all 20 atoms:
I 0.680 0.227 0.074
I 0.391 0.470 0.157
I 0.320 0.773 0.926
I 0.926 0.320 0.773
I 0.530 0.843 0.609
I 0.843 0.609 0.530
Tb 0.306 0.102 0.032
I 0.157 0.391 0.470
I 0.470 0.157 0.391
Tb 0.102 0.032 0.306
I 0.609 0.530 0.843
I 0.227 0.074 0.680
Tb 0.968 0.694 0.898
Tb 0.898 0.968 0.694
I 0.074 0.680 0.227
Tb 0.032 0.306 0.102
Pt 0.000 0.000 0.000
Tb 0.500 0.500 0.500
Tb 0.694 0.898 0.968
I 0.773 0.926 0.320

Calculated values
Energy of formation from the pure elements ... -1.527 eV/atom

[7]
Compound: Pr2AgHg
Source: the Materials Project database
Functional: PBE-GGA
Structure: optimized geometry

abc: 5.419 5.419 5.419
angles: 60.00 60.00 60.00
Fractional coordinates of all 4 atoms:
Pr 0.250 0.250 0.250
Ag 0.500 0.500 0.500
Pr 0.750 0.750 0.750
Hg 0.000 0.000 0.000

Calculated values
Energy of formation from the pure elements ... -0.365 eV/atom

[8]
Compound: Ba2Ti6N2O11
Source: the Materials Project database
Functional: PBE-GGA
Structure: optimized geometry

abc: 7.930 7.930 9.202
angles: 81.63 81.63 28.88
Fractional coordinates of all 21 atoms:
O 0.924 0.924 0.287
O 0.128 0.128 0.382
O 0.076 0.076 0.713
Ti 0.242 0.242 0.237
Ti 0.880 0.880 0.093
Ti 0.175 0.175 0.555
O 0.638 0.638 0.891
O 0.757 0.757 0.228
O 0.872 0.872 0.618
O 0.000 0.000 0.000
Ti 0.758 0.758 0.763
O 0.243 0.243 0.772
Ba 0.452 0.452 0.766
Ba 0.548 0.548 0.234
O 0.162 0.162 0.091
Ti 0.120 0.120 0.907
O 0.838 0.838 0.909
Ti 0.825 0.825 0.445
O 0.362 0.362 0.109
N 0.296 0.296 0.421
N 0.704 0.704 0.579

Calculated values
Energy of formation from the pure elements ... -3.147 eV/atom

[9]
Compound: Li7CrN4
Source: the Materials Project database
Functional: PBE-GGA
Structure: optimized geometry

abc: 9.627 9.627 9.627
angles: 90.00 90.00 90.00
Fractional coordinates of all 96 atoms:
Li 0.000 0.264 0.000
Li 0.500 0.250 0.000
Li 0.264 0.000 0.000
Li 0.248 0.481 0.260
Li 0.000 0.500 0.500
N 0.891 0.891 0.109
N 0.109 0.109 0.109
N 0.107 0.357 0.384
Li 0.260 0.248 0.481
Li 0.500 0.750 0.000
Li 0.764 0.500 0.500
Li 0.019 0.252 0.760
N 0.393 0.116 0.857
Li 0.740 0.752 0.481
Cr 0.500 0.500 0.500
Li 0.768 0.232 0.768
Li 0.500 0.500 0.236
Li 0.260 0.752 0.519
N 0.384 0.893 0.643
Li 0.768 0.768 0.232
Li 0.250 0.000 0.500
Li 0.500 0.000 0.500
Cr 0.000 0.250 0.500
Li 0.748 0.760 0.981
N 0.616 0.107 0.643
Li 0.740 0.248 0.519
N 0.609 0.609 0.609
Li 0.760 0.019 0.252
N 0.393 0.884 0.143
N 0.857 0.393 0.116
Li 0.750 0.000 0.500
N 0.384 0.107 0.357
N 0.391 0.609 0.391
N 0.609 0.391 0.391
Li 0.252 0.760 0.019
N 0.893 0.357 0.616
N 0.607 0.884 0.857
N 0.116 0.143 0.607
N 0.893 0.643 0.384
Li 0.240 0.981 0.252
Li 0.000 0.000 0.264
Li 0.760 0.981 0.748
N 0.116 0.857 0.393
N 0.109 0.891 0.891
N 0.607 0.116 0.143
N 0.643 0.616 0.107
Li 0.736 0.000 0.000
Li 0.748 0.240 0.019
Li 0.000 0.500 0.000
Li 0.752 0.481 0.740
Cr 0.250 0.500 0.000
Li 0.232 0.232 0.232
Li 0.500 0.500 0.764
Li 0.752 0.519 0.260
Cr 0.500 0.000 0.250
Cr 0.500 0.000 0.750
Li 0.981 0.252 0.240
Cr 0.000 0.000 0.000
Li 0.232 0.768 0.768
Cr 0.000 0.750 0.500
Li 0.519 0.260 0.752
N 0.643 0.384 0.893
N 0.107 0.643 0.616
Li 0.519 0.740 0.248
Li 0.248 0.519 0.740
Li 0.236 0.500 0.500
N 0.884 0.857 0.607
Li 0.268 0.732 0.268
Li 0.252 0.240 0.981
N 0.357 0.616 0.893
Li 0.732 0.268 0.268
Li 0.500 0.236 0.500
Li 0.500 0.500 0.000
Li 0.481 0.260 0.248
N 0.391 0.391 0.609
Li 0.000 0.000 0.736
Li 0.500 0.764 0.500
Li 0.240 0.019 0.748
Li 0.000 0.000 0.500
Li 0.019 0.748 0.240
Li 0.481 0.740 0.752
Li 0.500 0.000 0.000
Li 0.268 0.268 0.732
Li 0.000 0.736 0.000
Li 0.000 0.500 0.750
N 0.143 0.607 0.116
Li 0.981 0.748 0.760
N 0.891 0.109 0.891
Cr 0.750 0.500 0.000
Li 0.732 0.732 0.732
Li 0.000 0.500 0.250
N 0.143 0.393 0.884
N 0.616 0.893 0.357
N 0.857 0.607 0.884
N 0.357 0.384 0.107
N 0.884 0.143 0.393

Calculated values
Energy of formation from the pure elements ... -0.745 eV/atom

[10]
Compound: LiSeO3
Source: the Materials Project database
Functional: PBE-GGA
Structure: optimized geometry

abc: 5.417 5.437 11.534
angles: 90.00 90.00 90.00
Fractional coordinates of all 20 atoms:
Se 0.289 0.090 0.858
Se 0.711 0.590 0.642
O 0.355 0.119 0.445
O 0.905 0.948 0.372
O 0.802 0.544 0.780
O 0.698 0.456 0.280
Se 0.789 0.410 0.142
O 0.198 0.044 0.720
Se 0.211 0.910 0.358
O 0.645 0.619 0.055
Li 0.301 0.735 0.086
O 0.095 0.448 0.128
O 0.405 0.552 0.628
O 0.595 0.052 0.872
O 0.145 0.881 0.945
O 0.302 0.956 0.220
Li 0.699 0.235 0.414
Li 0.801 0.765 0.914
Li 0.199 0.265 0.586
O 0.855 0.381 0.555

Calculated values
Energy of formation from the pure elements ... -1.434 eV/atom

[11]
Compound: Cu3As2O8
Source: the Materials Project database
Functional: PBE-GGA
Structure: optimized geometry

abc: 8.829 6.372 11.534
angles: 87.65 90.00 90.00
Fractional coordinates of all 52 atoms:
O 0.743 0.394 0.919
O 0.430 0.913 0.620
O 0.073 0.518 0.366
O 0.244 0.963 0.897
O 0.846 0.659 0.223
O 0.654 0.659 0.723
O 0.869 0.798 0.457
Cu 0.190 0.908 0.569
Cu 0.810 0.092 0.431
O 0.497 0.329 0.583
O 0.553 0.132 0.800
O 0.927 0.482 0.634
O 0.154 0.341 0.777
O 0.256 0.963 0.397
Cu 0.030 0.616 0.124
Cu 0.690 0.092 0.931
As 0.938 0.102 0.152
O 0.427 0.518 0.866
O 0.997 0.671 0.917
Cu 0.310 0.908 0.069
Cu 0.163 0.244 0.367
O 0.243 0.606 0.581
Cu 0.470 0.616 0.624
O 0.503 0.671 0.417
Cu 0.663 0.756 0.133
O 0.930 0.087 0.880
O 0.131 0.202 0.543
O 0.257 0.606 0.081
As 0.385 0.416 0.132
Cu 0.337 0.244 0.867
O 0.744 0.037 0.603
O 0.346 0.341 0.277
As 0.885 0.584 0.368
As 0.115 0.416 0.632
As 0.615 0.584 0.868
As 0.438 0.898 0.348
O 0.757 0.394 0.419
O 0.756 0.037 0.103
O 0.631 0.798 0.957
Cu 0.530 0.384 0.376
O 0.003 0.329 0.083
O 0.369 0.202 0.043
O 0.053 0.868 0.700
As 0.062 0.898 0.848
Cu 0.970 0.384 0.876
O 0.570 0.087 0.380
Cu 0.837 0.756 0.633
As 0.562 0.102 0.652
O 0.447 0.868 0.200
O 0.947 0.132 0.300
O 0.070 0.913 0.120
O 0.573 0.482 0.134

Calculated values
Energy of formation from the pure elements ... -1.306 eV/atom

Q: energy of formation from the pure elements of number 6 (Tb7PtI12)?
A: -1.527 eV/atom

Q: Among the records above, which one has the highest energy of formation from the pure elements?
A: MgAl

Q: What is the energy of formation from the pure elements in the seventh record?
A: -0.365 eV/atom

Q: Which of these has the highest energy of formation from the pure elements?
A: MgAl